DFT (PBE with a Hubbard U) results for a relaxed CaLaFeSnO6 crystal.

Values from the calculation:
Electronic total energy ... -140.28 eV per cell
E_form ... -27.410 eV/f.u.
Symmetry ... No. 7

Cell and atoms, written as CIF:
```
data_CaLaFeSnO6
_chemical_formula_sum 'Ca2 La2 Fe2 Sn2 O12'
_cell_length_a 5.593
_cell_length_b 7.978
_cell_length_c 5.725
_cell_angle_alpha 90.00
_cell_angle_beta 90.00
_cell_angle_gamma 89.78
_space_group_name_H-M_alt 'P 1'
_space_group_IT_number 1
loop_
_space_group_symop_operation_xyz
'x,y,z'
loop_
_atom_site_label
_atom_site_fract_x
_atom_site_fract_y
_atom_site_fract_z
Ca1 0.514 0.250 0.550
Ca2 0.014 0.751 0.950
La1 0.989 0.250 0.044
La2 0.489 0.750 0.456
Fe1 0.499 0.501 0.999
Fe2 0.999 0.001 0.501
Sn1 0.000 0.499 0.501
Sn2 0.500 0.999 0.999
O1 0.598 0.747 0.030
O2 0.098 0.247 0.470
O3 0.200 0.949 0.207
O4 0.700 0.449 0.293
O5 0.204 0.551 0.202
O6 0.705 0.050 0.298
O7 0.909 0.753 0.532
O8 0.409 0.253 0.968
O9 0.296 0.550 0.711
O10 0.796 0.050 0.789
O11 0.290 0.950 0.706
O12 0.790 0.450 0.794
```